# NdAu3 | Materials Project | r2SCAN | optimized geometry
data_NdAu3
_chemical_formula_sum 'Nd2 Au6'
_space_group_name_H-M_alt 'P 63/m m c'
_space_group_IT_number 194
_space_group_name_Hall '-P 6c 2c'
_cell_length_a 6.4584
_cell_length_b 6.4584
_cell_length_c 4.7667
_cell_angle_alpha 90.00
_cell_angle_beta 90.00
_cell_angle_gamma 120.00
loop_
_atom_site_label
_atom_site_type_symbol
_atom_site_fract_x
_atom_site_fract_y
_atom_site_fract_z
Nd1 Nd 0.3333 0.6667 0.2500
Au1 Au 0.1544 0.3088 0.7500
# Formation energy from the elements in kJ/mol of formula units: -280